# 1
The following is a DFT calculation (GGA-PBE) of a geometry-optimized Na8In2Si5Sn2SO24 structure.

## Properties
As for the space-group type: P1. The total magnetization is 0.00 μB per cell. As for the MP2020-corrected energy: -6.63 eV per atom. Its energy relative to the elements is -240 kJ/mol of atoms.

a b c (Å): 9.226 9.213 22.663
angles (deg): 90.25 89.34 120.04
Fractional positions:
O 0.499 0.641 0.579
O 0.373 0.876 0.859
O 0.308 0.450 0.470
O 0.185 0.205 0.412
O 0.548 0.693 0.970
O 0.840 0.811 0.588
O 0.831 0.517 0.744
O 0.148 0.495 0.579
O 0.704 0.543 0.524
O 0.167 0.689 0.753
O 0.175 0.217 0.692
O 0.319 0.487 0.756
O 0.683 0.166 0.744
O 0.495 0.130 0.642
O 0.519 0.643 0.863
O 0.356 0.861 0.582
O 0.814 0.771 0.308
O 0.147 0.650 0.084
O 0.638 0.117 0.137
O 0.150 0.697 0.476
O 0.961 0.184 0.309
O 0.639 0.515 0.919
O 0.189 0.031 0.589
O 0.022 0.836 0.412
O 0.695 0.141 0.030
O 0.228 0.049 0.309
O 0.817 0.038 0.809
O 0.038 0.828 0.692
O 0.829 0.315 0.243
O 0.185 0.956 0.192
O 0.039 0.223 0.191
O 0.516 0.870 0.079
O 0.152 0.437 0.974
O 0.772 0.821 0.192
O 0.874 0.503 0.141
O 0.490 0.360 0.420
O 0.232 0.186 0.809
O 0.679 0.514 0.245
O 0.117 0.622 0.359
O 0.491 0.168 0.242
O 0.486 0.319 0.743
O 0.125 0.490 0.858
O 0.845 0.493 0.421
O 0.634 0.508 0.642
O 0.819 0.023 0.089
O 0.369 0.513 0.080
O 0.970 0.813 0.088
O 0.793 0.818 0.912
O 0.847 0.548 0.024
O 0.455 0.165 0.524
O 0.845 0.288 0.525
O 0.786 0.959 0.692
O 0.974 0.158 0.590
O 0.503 0.149 0.918
O 0.010 0.177 0.912
O 0.319 0.834 0.255
O 0.878 0.370 0.642
O 0.509 0.678 0.259
O 0.509 0.879 0.359
O 0.363 0.479 0.363
O 0.161 0.970 0.913
O 0.183 0.170 0.087
O 0.853 0.358 0.919
O 0.636 0.149 0.422
O 0.490 0.364 0.141
O 0.954 0.776 0.809
O 0.518 0.827 0.756
O 0.820 0.992 0.412
O 0.308 0.851 0.977
O 0.552 0.843 0.475
O 0.171 0.486 0.257
O 0.450 0.294 0.024
Si 0.699 0.703 0.250
Si 0.036 0.666 0.418
Si 0.375 0.046 0.584
Si 0.036 0.366 0.916
Si 0.959 0.630 0.083
Si 0.334 0.961 0.917
Si 0.962 0.330 0.585
Si 0.996 0.706 0.750
Si 0.668 0.625 0.583
Si 0.630 0.963 0.418
Si 0.000 0.298 0.250
Si 0.705 0.999 0.751
Si 0.372 0.334 0.083
Si 0.300 0.003 0.250
Si 0.299 0.298 0.749
Na 0.360 0.362 0.247
Na 0.300 0.338 0.587
Na 0.000 0.638 0.250
Na 0.334 0.668 0.664
Na 0.664 0.961 0.583
Na 0.321 0.284 0.918
Na 0.713 0.680 0.418
Na 0.670 0.691 0.087
Na 0.328 0.022 0.416
Na 0.959 0.295 0.413
Na 0.367 0.005 0.749
Na 0.640 0.001 0.253
Na 0.039 0.702 0.583
Na 0.975 0.668 0.916
Na 0.285 0.964 0.081
Na 0.325 0.658 0.167
Na 0.637 0.636 0.747
Na 0.019 0.007 0.000
Na 0.667 0.325 0.831
Na 0.991 0.990 0.501
Na 0.704 0.044 0.909
Na 0.045 0.339 0.086
Na 0.673 0.333 0.332
Na 0.997 0.363 0.749
Sn 0.677 0.331 0.486
Sn 0.000 0.000 0.649
Sn 0.668 0.343 0.186
Sn 0.669 0.335 0.685
Sn 0.323 0.669 0.812
Sn 0.330 0.675 0.315
S 0.336 0.374 0.417
S 0.667 0.038 0.084
S 0.624 0.669 0.916
In 0.994 0.993 0.346
In 0.666 0.333 0.982
In 0.313 0.653 0.017
In 0.007 0.999 0.154
In 0.009 0.007 0.846
In 0.336 0.677 0.521

# 2
The following is a DFT calculation (GGA-PBE) of a geometry-optimized Na10TaIn7Si6S6O48 structure.

## Properties
As for the space-group type: P1. The total magnetization is 0.00 μB per cell. As for the MP2020-corrected energy: -6.69 eV per atom. Its energy relative to the elements is -226 kJ/mol of atoms.

a b c (Å): 18.198 9.155 22.961
angles (deg): 89.85 89.55 119.93
Fractional positions:
O 0.094 0.996 0.913
O 0.769 0.887 0.364
O 0.113 0.056 0.308
O 0.726 0.140 0.530
O 0.904 0.989 0.415
O 0.657 0.855 0.966
O 0.247 0.135 0.921
O 0.086 0.671 0.077
O 0.717 0.285 0.025
O 0.901 0.827 0.194
O 0.414 0.026 0.089
O 0.093 0.022 0.595
O 0.587 0.163 0.096
O 0.681 0.504 0.082
O 0.826 0.115 0.140
O 0.920 0.822 0.594
O 0.740 0.356 0.143
O 0.733 0.107 0.636
O 0.821 0.489 0.919
O 0.598 0.012 0.585
O 0.418 0.840 0.589
O 0.777 0.872 0.471
O 0.594 0.991 0.915
O 0.504 0.834 0.416
O 0.924 0.564 0.032
O 0.511 0.185 0.195
O 0.516 0.205 0.911
O 0.080 0.694 0.752
O 0.747 0.344 0.422
O 0.814 0.531 0.646
O 0.992 0.165 0.594
O 0.554 0.475 0.862
O 0.429 0.306 0.533
O 0.251 0.659 0.580
O 0.491 0.823 0.097
O 0.488 0.174 0.310
O 0.386 0.971 0.695
O 0.017 0.209 0.915
O 0.487 0.177 0.589
O 0.913 0.269 0.530
O 0.588 0.473 0.250
O 0.672 0.883 0.859
O 0.421 0.498 0.418
O 0.012 0.811 0.695
O 0.740 0.311 0.749
O 0.441 0.356 0.638
O 0.166 0.846 0.575
O 0.407 0.839 0.197
O 0.479 0.773 0.801
O 0.263 0.881 0.363
O 0.652 0.845 0.250
O 0.009 0.185 0.193
O 0.612 0.034 0.301
O 0.732 0.148 0.239
O 0.010 0.822 0.415
O 0.176 0.885 0.863
O 0.081 0.974 0.196
O 0.747 0.130 0.918
O 0.408 0.773 0.311
O 0.424 0.526 0.744
O 0.428 0.337 0.921
O 0.932 0.512 0.418
O 0.589 0.198 0.694
O 0.351 0.567 0.524
O 0.397 0.974 0.415
O 0.149 0.828 0.252
O 0.218 0.295 0.030
O 0.251 0.105 0.637
O 0.763 0.636 0.858
O 0.916 0.022 0.090
O 0.773 0.690 0.977
O 0.262 0.631 0.854
O 0.072 0.462 0.966
O 0.655 0.479 0.753
O 0.263 0.848 0.754
O 0.262 0.867 0.080
O 0.913 0.047 0.803
O 0.834 0.511 0.246
O 0.156 0.449 0.470
O 0.083 0.471 0.251
O 0.910 0.304 0.242
O 0.105 0.188 0.814
O 0.992 0.791 0.801
O 0.993 0.831 0.092
O 0.263 0.704 0.252
O 0.060 0.654 0.363
O 0.914 0.835 0.915
O 0.449 0.527 0.146
O 0.316 0.486 0.919
O 0.094 0.171 0.091
O 0.087 0.198 0.414
O 0.661 0.449 0.469
O 0.051 0.468 0.861
O 0.859 0.558 0.530
O 0.269 0.690 0.972
O 0.073 0.490 0.576
O 0.323 0.114 0.138
O 0.567 0.450 0.968
O 0.757 0.835 0.749
O 0.173 0.473 0.363
O 0.567 0.483 0.580
O 0.684 0.464 0.362
O 0.593 0.196 0.414
O 0.765 0.869 0.081
O 0.171 0.475 0.079
O 0.753 0.674 0.575
O 0.338 0.517 0.245
O 0.232 0.345 0.136
O 0.065 0.679 0.470
O 0.270 0.856 0.469
O 0.851 0.148 0.033
O 0.244 0.329 0.749
O 0.929 0.340 0.924
O 0.559 0.649 0.353
O 0.843 0.172 0.740
O 0.576 0.691 0.472
O 0.427 0.564 0.030
O 0.154 0.862 0.969
O 0.243 0.359 0.418
O 0.824 0.141 0.419
O 0.903 0.976 0.692
O 0.762 0.708 0.256
O 0.583 0.672 0.079
O 0.416 0.302 0.247
O 0.579 0.694 0.758
O 0.604 0.172 0.810
O 0.590 0.979 0.196
O 0.225 0.170 0.527
O 0.147 0.476 0.751
O 0.941 0.374 0.643
O 0.927 0.541 0.746
O 0.973 0.173 0.307
O 0.679 0.867 0.577
O 0.513 0.802 0.697
O 0.241 0.164 0.238
O 0.346 0.144 0.032
O 0.320 0.529 0.643
O 0.411 0.835 0.913
O 0.344 0.158 0.746
O 0.320 0.131 0.422
O 0.915 0.778 0.308
O 0.085 0.183 0.697
O 0.401 0.018 0.801
O 0.958 0.547 0.147
In 0.839 0.344 0.486
In 0.835 0.356 0.988
In 0.166 0.664 0.519
In 0.337 0.348 0.485
In 0.164 0.665 0.309
In 0.503 0.002 0.650
In 0.665 0.659 0.019
In 0.661 0.651 0.316
In 0.992 0.998 0.851
In 0.663 0.660 0.514
In 0.342 0.362 0.985
In 0.497 0.993 0.852
In 0.999 0.001 0.345
In 0.323 0.325 0.681
In 0.500 0.992 0.351
In 0.843 0.355 0.178
In 0.340 0.343 0.184
In 0.828 0.336 0.681
In 0.168 0.662 0.818
In 0.671 0.661 0.816
In 0.170 0.674 0.017
S 0.670 0.363 0.417
S 0.818 0.972 0.417
S 0.168 0.967 0.917
S 0.646 0.001 0.247
S 0.016 0.371 0.917
S 0.313 0.963 0.417
S 0.499 0.698 0.750
S 0.181 0.325 0.084
S 0.335 0.039 0.084
S 0.003 0.711 0.749
S 0.350 0.003 0.750
S 0.017 0.668 0.416
S 0.668 0.963 0.915
S 0.517 0.370 0.916
S 0.481 0.334 0.585
S 0.164 0.367 0.416
S 0.838 0.041 0.085
S 0.684 0.033 0.582
Na 0.170 0.308 0.909
Na 0.492 0.968 0.999
Na 0.996 0.627 0.245
Na 0.319 0.006 0.249
Na 0.831 0.968 0.580
Na 0.999 0.995 0.494
Na 0.831 0.681 0.075
Na 0.343 0.338 0.332
Na 0.332 0.332 0.835
Na 0.822 0.004 0.252
Na 0.652 0.639 0.159
Na 0.687 0.376 0.240
Na 0.509 0.984 0.499
Na 0.687 0.012 0.755
Na 0.329 0.964 0.587
Na 0.168 0.670 0.663
Na 0.186 0.365 0.250
Na 0.840 0.345 0.332
Na 0.012 0.691 0.583
Na 0.357 0.666 0.417
Na 0.830 0.333 0.837
Na 0.495 0.615 0.252
Na 0.807 0.619 0.749
Na 0.159 0.663 0.165
Na 0.995 0.350 0.748
Na 0.662 0.631 0.668
Na 0.311 0.621 0.750
Na 0.163 0.349 0.583
Na 0.672 0.310 0.917
Na 0.990 0.973 0.996
Si 0.486 0.637 0.086
Si 0.148 0.005 0.251
Si 0.146 0.292 0.754
Si 0.518 0.667 0.416
Si 0.992 0.645 0.085
Si 0.831 0.633 0.585
Si 0.978 0.331 0.585
Si 0.316 0.667 0.916
Si 0.995 0.288 0.249
Si 0.339 0.645 0.584
Si 0.187 0.040 0.582
Si 0.851 0.703 0.253
Si 0.644 0.290 0.751
Si 0.354 0.708 0.252
Si 0.683 0.328 0.085
Si 0.501 0.286 0.252
Si 0.851 0.004 0.748
Si 0.819 0.669 0.918
Ta 0.497 0.002 0.145
Ta 0.000 0.009 0.647
Ta 0.999 0.992 0.152